Here is a geometry-optimized Rb2Pd3S4 structure from Materials Project. Energies are from meta-GGA r2SCAN.

Total DFT energy (no corrections) ... -15.173 eV/atom
Size of the total moment ... 0.000 μB per atom
E_form ... -852.9 meV per atom

a = 6.278 Å, b = 10.609 Å, c = 13.499 Å
α = 90.00°, β = 90.00°, γ = 90.00°
Space group Fmmm (No. 69)
Unique sites:
Rb 0.000 0.000 0.158
Pd 0.000 0.000 0.500
Pd 0.250 0.250 0.000
S 0.000 0.168 0.386